Here is a relaxed structure of MnFe2O4 from the Materials Project. Energies are from PBE+U.

Cell: 6.039 6.039 6.039 Å, 118.31 117.47 93.70°
Fractional coordinates of all 14 atoms:
1 O 0.241 0.720 0.980
2 O 0.759 0.739 0.480
3 O 0.208 0.736 0.472
4 O 0.241 0.261 0.520
5 O 0.763 0.736 0.028
6 O 0.792 0.264 0.528
7 O 0.759 0.280 0.020
8 O 0.237 0.264 0.972
9 Fe 0.000 0.500 0.000
10 Fe 0.000 0.000 0.500
11 Fe 0.378 0.128 0.250
12 Fe 0.622 0.872 0.750
13 Mn 0.000 0.500 0.500
14 Mn 0.500 0.500 0.000

Output
The magnetic moment comes out at 26.0 μB/cell. The uncorrected energy comes out at -7.011 eV per atom. Its MP2020-corrected energy is -0.3045 hartree per atom. For the offset from the most stable computed form, the calculation gives 106 meV/atom. The calculation puts the volume at 11.5 Å³/atom. As for the symmetry: Imma (74).


Here is a relaxed structure of Mn2FeO3 from the Materials Project. Energies are from PBE+U.

Cell: 3.185 5.515 7.709 Å, 89.82 90.00 90.00°
Fractional coordinates of all 12 atoms:
1 O 0.500 0.163 0.168
2 O 0.000 0.667 0.172
3 O 0.500 0.500 0.500
4 O 0.500 0.837 0.832
5 O 0.000 0.000 0.500
6 O 0.000 0.333 0.828
7 Fe 0.500 0.832 0.335
8 Fe 0.500 0.168 0.665
9 Mn 0.000 0.670 0.665
10 Mn 0.000 0.330 0.335
11 Mn 0.000 0.000 0.000
12 Mn 0.500 0.500 0.000

Output
The magnetic moment comes out at 28.0 μB/cell. The uncorrected energy comes out at -7.439 eV per atom. Its MP2020-corrected energy is -0.3203 hartree per atom. The calculation puts the volume at 11.3 Å³/atom. As for the symmetry: P2/m (10).


Here is a relaxed structure of Mn3FeO8 from the Materials Project. Energies are from PBE+U.

Cell: 8.305 8.305 8.312 Å, 89.96 89.96 90.09°
Fractional coordinates of all 48 atoms:
1 O 0.892 0.140 0.770
2 O 0.860 0.108 0.230
3 O 0.894 0.859 0.483
4 O 0.107 0.857 0.255
5 O 0.894 0.366 0.982
6 O 0.860 0.388 0.514
7 O 0.144 0.390 0.234
8 O 0.856 0.883 0.016
9 O 0.393 0.357 0.491
10 O 0.141 0.106 0.517
11 O 0.639 0.890 0.236
12 O 0.392 0.133 0.270
13 O 0.362 0.110 0.735
14 O 0.143 0.893 0.745
15 O 0.117 0.144 0.984
16 O 0.383 0.643 0.769
17 O 0.634 0.106 0.018
18 O 0.389 0.861 0.985
19 O 0.357 0.617 0.231
20 O 0.607 0.358 0.266
21 O 0.139 0.611 0.015
22 O 0.642 0.393 0.734
23 O 0.890 0.638 0.265
24 O 0.358 0.395 0.008
25 O 0.110 0.361 0.764
26 O 0.610 0.856 0.766
27 O 0.643 0.607 0.509
28 O 0.605 0.642 0.992
29 O 0.110 0.644 0.483
30 O 0.356 0.890 0.517
31 O 0.867 0.608 0.730
32 O 0.612 0.140 0.486
33 Mn 0.125 0.376 0.997
34 Mn 0.873 0.623 0.499
35 Mn 0.128 0.125 0.753
36 Mn 0.372 0.628 0.000
37 Mn 0.878 0.377 0.749
38 Mn 0.377 0.127 0.501
39 Mn 0.626 0.374 0.500
40 Mn 0.373 0.876 0.753
41 Mn 0.875 0.872 0.247
42 Mn 0.623 0.122 0.251
43 Mn 0.124 0.627 0.247
44 Mn 0.624 0.875 0.003
45 Fe 0.125 0.875 0.500
46 Fe 0.624 0.626 0.752
47 Fe 0.374 0.376 0.248
48 Fe 0.876 0.124 0.000

Output
The magnetic moment comes out at 52.0 μB/cell. The uncorrected energy comes out at -6.841 eV per atom. Its MP2020-corrected energy is -0.2905 hartree per atom. For the offset from the most stable computed form, the calculation gives 33 meV/atom. The calculation puts the volume at 11.9 Å³/atom. As for the symmetry: C2 (5).


Q: Which formula does entry 1 have?
A: MnFe2O4